[1]
{"formula": "Li3Mn2Si2O8", "functional": "GGA+U", "state": "relaxed", "lattice_angstrom": [[10.808, 0.000, 0.000], [0.000, 5.276, 0.000], [0.000, 0.105, 6.328]], "species": ["Li", "Li", "Li", "Li", "Li", "Li", "Mn", "Mn", "Mn", "Mn", "Si", "Si", "Si", "Si", "O", "O", "O", "O", "O", "O", "O", "O", "O", "O", "O", "O", "O", "O", "O", "O"], "frac_coords": [[0.833, 0.545, 0.752], [0.333, 0.455, 0.248], [0.671, 0.045, 0.241], [0.171, 0.967, 0.241], [0.671, 0.033, 0.759], [0.171, 0.955, 0.759], [0.583, 0.437, 0.494], [0.083, 0.563, 0.506], [0.418, 0.070, 0.982], [0.918, 0.930, 0.018], [0.918, 0.055, 0.509], [0.418, 0.945, 0.491], [0.576, 0.562, 0.999], [0.076, 0.438, 0.001], [0.340, 0.007, 0.701], [0.843, 0.939, 0.716], [0.936, 0.364, 0.539], [0.563, 0.060, 0.504], [0.436, 0.636, 0.461], [0.063, 0.940, 0.496], [0.840, 0.993, 0.299], [0.343, 0.061, 0.284], [0.150, 0.546, 0.217], [0.643, 0.436, 0.214], [0.434, 0.463, 0.997], [0.934, 0.537, 0.003], [0.589, 0.874, 0.001], [0.089, 0.126, 0.999], [0.650, 0.454, 0.783], [0.143, 0.564, 0.786]], "de_polymorph_mev_per_atom": 10, "sg": "P2_1 (4)", "delta_e_f_ev_per_atom": -2.591, "final_energy_ev_per_atom": -6.97}

[2]
{"formula": "Li4Mn8O13F3", "functional": "GGA+U", "state": "relaxed", "lattice_angstrom": [[4.179, -4.233, 0.124], [-4.302, 0.001, -4.308], [8.432, 4.434, -4.135]], "species": ["Li", "Li", "Li", "Li", "Mn", "Mn", "Mn", "Mn", "Mn", "Mn", "Mn", "Mn", "O", "O", "O", "O", "O", "O", "O", "O", "O", "O", "O", "O", "O", "F", "F", "F"], "frac_coords": [[0.778, 0.669, 0.061], [0.734, 0.839, 0.443], [0.259, 0.159, 0.557], [0.236, 0.342, 0.943], [0.241, 0.750, 0.244], [0.004, 0.503, 0.500], [0.241, 0.234, 0.245], [0.481, 0.992, 0.003], [0.248, 0.752, 0.750], [0.746, 0.248, 0.251], [0.746, 0.748, 0.751], [0.749, 0.249, 0.752], [0.112, 0.878, 0.138], [0.580, 0.887, 0.132], [0.128, 0.389, 0.153], [0.086, 0.825, 0.634], [0.581, 0.323, 0.132], [0.087, 0.399, 0.635], [0.376, 0.113, 0.351], [0.654, 0.902, 0.649], [0.918, 0.610, 0.369], [0.919, 0.178, 0.370], [0.406, 0.673, 0.866], [0.842, 0.597, 0.852], [0.410, 0.102, 0.865], [0.402, 0.635, 0.375], [0.594, 0.355, 0.616], [0.904, 0.140, 0.882]], "de_polymorph_mev_per_atom": 17, "sg": "P1 (1)", "delta_e_f_ev_per_atom": -2.216, "final_energy_ev_per_atom": -6.76}

| no. | ρ (g/cm³) | MP2020-corrected energy (eV per cell) |
| --- | --- | --- |
| 1 | 2.90 | -226.7 |
| 2 | 3.97 | -213.1 |